Compound: FeOF
Source: the Materials Project database
Functional: GGA+U
Structure: optimized geometry

ρ	4.4	g/cm³
ΔH_f (0 K)	-6.08	eV per formula unit
total moment	5.00	μB per formula unit

Geometry as CIF:
```
data_FeOF
_chemical_formula_sum 'Fe6 O6 F6'
_space_group_name_H-M_alt 'P 1 m 1'
_space_group_IT_number 6
_cell_length_a 4.722
_cell_length_b 3.100
_cell_length_c 14.019
_cell_angle_alpha 90.00
_cell_angle_beta 90.03
_cell_angle_gamma 90.00
loop_
_space_group_symop_operation_xyz
'x,y,z'
'x,-y,z'
loop_
_atom_site_label
_atom_site_type_symbol
_atom_site_fract_x
_atom_site_fract_y
_atom_site_fract_z
Fe1 Fe 0.000 0.000 0.000
Fe2 Fe 0.000 0.000 0.336
Fe3 Fe 0.057 0.000 0.692
Fe4 Fe 0.492 0.500 0.533
Fe5 Fe 0.493 0.500 0.857
Fe6 Fe 0.498 0.500 0.194
O1 O 0.216 0.500 0.750
O2 O 0.313 0.000 0.249
O3 O 0.317 0.000 0.590
O4 O 0.323 0.000 0.917
O5 O 0.808 0.500 0.288
O6 O 0.811 0.500 0.951
F1 F 0.205 0.500 0.084
F2 F 0.211 0.500 0.420
F3 F 0.706 0.000 0.119
F4 F 0.707 0.000 0.460
F5 F 0.730 0.000 0.780
F6 F 0.832 0.500 0.621
```